No. 1
Here is a geometry-optimized CdSe structure from the Materials Project database. Energies are from r²SCAN.

- density (g/cm³) = 5.49
- energy of formation from the pure elements (eV/atom) = -0.75
- total energy (eV per cell) = -35.92
- space group = F-43m (216)

a = 4.342 Å, b = 4.342 Å, c = 4.342 Å
α = 60.00°, β = 60.00°, γ = 60.00°
Fractional positions:
Cd  0.000  0.000  0.000
Se  0.250  0.250  0.250

No. 2
Here is a geometry-optimized KV6S8 structure from the Materials Project database. Energies are from r²SCAN.

- density (g/cm³) = 4.19
- energy of formation from the pure elements (eV/atom) = -1.19
- total energy (eV per cell) = -172.65
- space group = P-3 (147)

a = 3.241 Å, b = 9.217 Å, c = 9.217 Å
α = 60.00°, β = 90.00°, γ = 90.00°
Fractional positions:
K  0.500  0.000  0.000
V  0.748  0.378  0.511
V  0.748  0.111  0.378
V  0.748  0.511  0.111
V  0.252  0.622  0.489
V  0.252  0.889  0.622
V  0.252  0.489  0.889
S  0.751  0.667  0.667
S  0.249  0.333  0.333
S  0.753  0.054  0.652
S  0.753  0.294  0.054
S  0.753  0.652  0.294
S  0.247  0.946  0.348
S  0.247  0.706  0.946
S  0.247  0.348  0.706

No. 3
Here is a geometry-optimized Si2Ru structure from the Materials Project database. Energies are from r²SCAN.

- density (g/cm³) = 6.24
- energy of formation from the pure elements (eV/atom) = -0.56
- total energy (eV per cell) = -357.26
- space group = Cmce (64)

a = 6.482 Å, b = 6.482 Å, c = 8.177 Å
α = 90.00°, β = 90.00°, γ = 102.96°
Fractional positions:
Si  0.095  0.350  0.556
Si  0.595  0.850  0.944
Si  0.650  0.905  0.444
Si  0.178  0.924  0.275
Si  0.424  0.678  0.225
Si  0.678  0.424  0.225
Si  0.350  0.095  0.556
Si  0.822  0.076  0.725
Si  0.924  0.178  0.275
Si  0.076  0.822  0.725
Si  0.405  0.150  0.056
Si  0.576  0.322  0.775
Si  0.322  0.576  0.775
Si  0.150  0.405  0.056
Si  0.850  0.595  0.944
Si  0.905  0.650  0.444
Ru  0.285  0.715  0.500
Ru  0.215  0.785  0.000
Ru  0.311  0.311  0.317
Ru  0.715  0.285  0.500
Ru  0.811  0.811  0.183
Ru  0.689  0.689  0.683
Ru  0.785  0.215  0.000
Ru  0.189  0.189  0.817

No. 4
Here is a geometry-optimized Al3Pd5 structure from the Materials Project database. Energies are from r²SCAN.

- density (g/cm³) = 8.90
- energy of formation from the pure elements (eV/atom) = -0.86
- total energy (eV per cell) = -283.72
- space group = Pbam (55)

a = 4.044 Å, b = 5.378 Å, c = 10.519 Å
α = 90.00°, β = 90.00°, γ = 90.00°
Fractional positions:
Al  0.000  0.000  0.000
Al  0.000  0.500  0.500
Al  0.500  0.164  0.358
Al  0.500  0.836  0.642
Al  0.500  0.664  0.142
Al  0.500  0.336  0.858
Pd  0.500  0.187  0.106
Pd  0.500  0.813  0.894
Pd  0.500  0.687  0.394
Pd  0.500  0.313  0.606
Pd  0.000  0.000  0.500
Pd  0.000  0.500  0.000
Pd  0.000  0.905  0.233
Pd  0.000  0.095  0.767
Pd  0.000  0.405  0.267
Pd  0.000  0.595  0.733

No. 5
Here is a geometry-optimized ErH3 structure from the Materials Project database. Energies are from r²SCAN.

- density (g/cm³) = 7.81
- energy of formation from the pure elements (eV/atom) = -0.72
- total energy (eV per cell) = -283.04
- space group = P-3c1 (165)

a = 6.215 Å, b = 6.215 Å, c = 6.494 Å
α = 90.00°, β = 90.00°, γ = 120.00°
Fractional positions:
Er  0.337  0.337  0.750
Er  0.663  0.000  0.750
Er  0.000  0.663  0.750
Er  0.337  0.000  0.250
Er  0.000  0.337  0.250
Er  0.663  0.663  0.250
H  0.680  0.647  0.590
H  0.353  0.032  0.590
H  0.968  0.320  0.590
H  0.680  0.032  0.090
H  0.968  0.647  0.090
H  0.353  0.320  0.090
H  0.320  0.353  0.410
H  0.647  0.968  0.410
H  0.032  0.680  0.410
H  0.320  0.968  0.910
H  0.032  0.353  0.910
H  0.647  0.680  0.910
H  0.333  0.667  0.688
H  0.333  0.667  0.188
H  0.667  0.333  0.312
H  0.667  0.333  0.812
H  0.000  0.000  0.750
H  0.000  0.000  0.250

No. 6
Here is a geometry-optimized PuCo2 structure from the Materials Project database. Energies are from r²SCAN.

- density (g/cm³) = 13.29
- energy of formation from the pure elements (eV/atom) = -0.10
- total energy (eV per cell) = -226.25
- space group = Fd-3m (227)

a = 5.038 Å, b = 5.038 Å, c = 5.038 Å
α = 60.00°, β = 60.00°, γ = 60.00°
Fractional positions:
Pu  0.500  0.500  0.500
Pu  0.750  0.750  0.750
Co  0.125  0.125  0.125
Co  0.625  0.125  0.125
Co  0.125  0.625  0.125
Co  0.125  0.125  0.625

No. 7
Here is a geometry-optimized TiPb15O17 structure from the Materials Project database. Energies are from r²SCAN.

- density (g/cm³) = 8.83
- energy of formation from the pure elements (eV/atom) = -1.44
- total energy (eV per cell) = -1006.36
- space group = Pmm2 (25)

a = 3.855 Å, b = 32.899 Å, c = 5.085 Å
α = 90.00°, β = 90.00°, γ = 90.00°
Fractional positions:
Ti  0.500  0.875  0.851
Pb  0.000  0.060  0.233
Pb  0.000  0.186  0.231
Pb  0.000  0.312  0.232
Pb  0.000  0.564  0.231
Pb  0.000  0.690  0.233
Pb  0.000  0.932  0.255
Pb  0.500  0.123  0.768
Pb  0.500  0.249  0.767
Pb  0.500  0.375  0.767
Pb  0.500  0.501  0.767
Pb  0.500  0.627  0.768
Pb  0.500  0.754  0.775
Pb  0.500  0.996  0.775
Pb  0.000  0.438  0.232
Pb  0.000  0.818  0.255
O  0.000  0.996  0.022
O  0.000  0.123  0.016
O  0.000  0.249  0.015
O  0.000  0.501  0.015
O  0.000  0.627  0.016
O  0.000  0.875  0.970
O  0.500  0.059  0.985
O  0.500  0.186  0.983
O  0.500  0.312  0.985
O  0.500  0.438  0.985
O  0.500  0.564  0.983
O  0.500  0.819  0.985
O  0.500  0.691  0.985
O  0.500  0.875  0.510
O  0.500  0.931  0.985
O  0.000  0.375  0.015
O  0.000  0.754  0.022

No. 8
Here is a geometry-optimized Nd3In structure from the Materials Project database. Energies are from r²SCAN.

- density (g/cm³) = 7.31
- energy of formation from the pure elements (eV/atom) = -0.37
- total energy (eV per cell) = -112.32
- space group = Pm-3m (221)

a = 4.993 Å, b = 4.993 Å, c = 4.993 Å
α = 90.00°, β = 90.00°, γ = 90.00°
Fractional positions:
Nd  0.000  0.500  0.500
Nd  0.500  0.500  0.000
Nd  0.500  0.000  0.500
In  0.000  0.000  0.000